(1)
Below is crystalline NaMgCoO2 at its relaxed geometry, with properties calculated at the GGA+U level.

Unit cell a=5.268 b=5.056 c=5.978 alpha=90.00 beta=92.03 gamma=90.00
Fractional coordinates of all 10 atoms:
1 Na 0.000 0.000 0.000
2 Na 0.500 0.500 0.000
3 Mg 0.000 0.000 0.500
4 Mg 0.500 0.500 0.500
5 Co 0.000 0.500 0.500
6 Co 0.500 0.000 0.500
7 O 0.215 0.500 0.278
8 O 0.285 0.000 0.722
9 O 0.715 0.000 0.278
10 O 0.785 0.500 0.722

## Properties
final energy	-4.6657	eV/atom
volume	159.13	Å³ per cell
crystal system	monoclinic
polymorph energy (0 for the lowest one)	6.06	kcal/mol of atoms
calculated formation energy	-1283	meV/atom
magnetic moment	4.00	Bohr magnetons per cell

(2)
Below is crystalline Na2MgCo2O4 at its relaxed geometry, with properties calculated at the GGA+U level.

Unit cell a=3.160 b=5.824 c=6.269 alpha=94.26 beta=102.65 gamma=90.35
Fractional coordinates of all 9 atoms:
1 Na 0.000 0.000 0.000
2 Na 0.247 0.751 0.613
3 Mg 0.618 0.628 0.187
4 Co 0.290 0.166 0.425
5 Co 0.907 0.362 0.760
6 O 0.035 0.609 0.990
7 O 0.393 0.146 0.764
8 O 0.649 0.461 0.457
9 O 0.732 0.964 0.315

## Properties
final energy	-5.2161	eV/atom
volume	112.24	Å³ per cell
crystal system	triclinic
polymorph energy (0 for the lowest one)	0.00	kcal/mol of atoms
calculated formation energy	-1635	meV/atom
magnetic moment	6.00	Bohr magnetons per cell

(3)
Below is crystalline Na2MgCo2O4 at its relaxed geometry, with properties calculated at the GGA+U level.

Unit cell a=3.221 b=3.221 c=12.890 alpha=90.44 beta=90.44 gamma=59.69
Fractional coordinates of all 9 atoms:
1 Na 0.000 0.000 0.000
2 Na 0.639 0.639 0.622
3 Mg 0.659 0.659 0.410
4 Co 0.320 0.320 0.217
5 Co 0.328 0.328 0.814
6 O 0.660 0.660 0.246
7 O 0.668 0.668 0.900
8 O 0.972 0.972 0.735
9 O 0.993 0.993 0.462

## Properties
final energy	-5.0635	eV/atom
volume	115.43	Å³ per cell
crystal system	monoclinic
polymorph energy (0 for the lowest one)	3.52	kcal/mol of atoms
calculated formation energy	-1482	meV/atom
magnetic moment	6.00	Bohr magnetons per cell

(4)
Below is crystalline NaMg6CoO8 at its relaxed geometry, with properties calculated at the GGA+U level.

Unit cell a=4.261 b=4.261 c=8.591 alpha=90.00 beta=90.00 gamma=90.00
Fractional coordinates of all 16 atoms:
1 Na 0.000 0.000 0.000
2 Mg 0.000 0.000 0.500
3 Mg 0.000 0.500 0.246
4 Mg 0.000 0.500 0.754
5 Mg 0.500 0.000 0.246
6 Mg 0.500 0.000 0.754
7 Mg 0.500 0.500 0.500
8 Co 0.500 0.500 0.000
9 O 0.000 0.000 0.264
10 O 0.000 0.000 0.736
11 O 0.000 0.500 0.000
12 O 0.000 0.500 0.500
13 O 0.500 0.000 0.000
14 O 0.500 0.000 0.500
15 O 0.500 0.500 0.235
16 O 0.500 0.500 0.765

## Properties
final energy	-5.7197	eV/atom
volume	156.01	Å³ per cell
crystal system	tetragonal
polymorph energy (0 for the lowest one)	0.00	kcal/mol of atoms
calculated formation energy	-2565	meV/atom
magnetic moment	2.00	Bohr magnetons per cell

(5)
Below is crystalline NaMgCoO2 at its relaxed geometry, with properties calculated at the GGA+U level.

Unit cell a=6.199 b=5.250 c=5.187 alpha=90.00 beta=93.22 gamma=90.00
Fractional coordinates of all 10 atoms:
1 Na 0.000 0.000 0.000
2 Na 0.500 0.500 0.000
3 Mg 0.000 0.500 0.000
4 Mg 0.500 0.000 0.000
5 Co 0.000 0.500 0.500
6 Co 0.500 0.000 0.500
7 O 0.210 0.500 0.759
8 O 0.290 0.000 0.241
9 O 0.710 0.000 0.759
10 O 0.790 0.500 0.241

## Properties
final energy	-4.3217	eV/atom
volume	168.51	Å³ per cell
crystal system	monoclinic
polymorph energy (0 for the lowest one)	14.00	kcal/mol of atoms
calculated formation energy	-939	meV/atom
magnetic moment	4.00	Bohr magnetons per cell

(6)
Below is crystalline NaMgCoO2 at its relaxed geometry, with properties calculated at the GGA+U level.

Unit cell a=5.796 b=3.324 c=7.149 alpha=90.00 beta=106.93 gamma=90.00
Fractional coordinates of all 10 atoms:
1 Na 0.000 0.000 0.000
2 Na 0.500 0.500 0.000
3 Mg 0.117 0.000 0.386
4 Mg 0.617 0.500 0.386
5 Co 0.056 0.500 0.691
6 Co 0.556 0.000 0.691
7 O 0.236 0.000 0.720
8 O 0.245 0.500 0.276
9 O 0.736 0.500 0.720
10 O 0.745 0.000 0.276

## Properties
final energy	-4.8816	eV/atom
volume	131.75	Å³ per cell
crystal system	monoclinic
polymorph energy (0 for the lowest one)	1.09	kcal/mol of atoms
calculated formation energy	-1499	meV/atom
magnetic moment	4.00	Bohr magnetons per cell